No. 1
# PBE with a Hubbard U Li2VCO5, optimized geometry
data_Li2VCO5
_chemical_formula_sum 'Li8 V4 C4 O20'
_space_group_name_H-M_alt 'P b a m'
_space_group_IT_number 55
_cell_length_a 9.426
_cell_length_b 12.018
_cell_length_c 2.940
_cell_angle_alpha 90.00
_cell_angle_beta 90.00
_cell_angle_gamma 90.00
loop_
_space_group_symop_operation_xyz
'x,y,z'
'-x,-y,-z'
'-x,-y,z'
'x,y,-z'
'x+1/2,-y+1/2,-z'
'-x+1/2,y+1/2,z'
'-x+1/2,y+1/2,-z'
'x+1/2,-y+1/2,z'
loop_
_atom_site_label
_atom_site_fract_x
_atom_site_fract_y
_atom_site_fract_z
Li1 0.000 0.000 0.000
Li2 0.000 0.500 0.500
Li3 0.005 0.218 0.500
V1 0.243 0.387 0.000
C1 0.233 0.639 0.000
O1 0.118 0.357 0.500
O2 0.128 0.921 0.500
O3 0.133 0.138 0.000
O4 0.157 0.547 0.000
O5 0.161 0.732 0.000
# - E above lowest polymorph (eV/atom) = 0.010
# - formation energy from the elements (eV/atom) = -2.28
# - crystal system = orthorhombic

No. 2
# PBE with a Hubbard U Sr2CoO4, optimized geometry
data_Sr2CoO4
_chemical_formula_sum 'Sr8 Co4 O16'
_space_group_name_H-M_alt 'P 1'
_space_group_IT_number 1
_cell_length_a 5.503
_cell_length_b 6.839
_cell_length_c 11.006
_cell_angle_alpha 89.68
_cell_angle_beta 89.18
_cell_angle_gamma 66.28
loop_
_space_group_symop_operation_xyz
'x,y,z'
loop_
_atom_site_label
_atom_site_fract_x
_atom_site_fract_y
_atom_site_fract_z
Sr1 0.000 0.000 0.000
Sr2 0.002 0.995 0.499
Sr3 0.285 0.429 0.499
Sr4 0.286 0.426 0.000
Sr5 0.495 0.998 0.248
Sr6 0.503 0.999 0.751
Sr7 0.781 0.428 0.248
Sr8 0.790 0.426 0.751
Co1 0.141 0.712 0.747
Co2 0.142 0.713 0.251
Co3 0.642 0.712 0.500
Co4 0.642 0.713 0.999
O1 0.298 0.394 0.250
O2 0.305 0.395 0.747
O3 0.369 0.712 0.132
O4 0.382 0.712 0.634
O5 0.401 0.712 0.381
O6 0.417 0.712 0.884
O7 0.484 0.030 0.999
O8 0.492 0.017 0.501
O9 0.797 0.407 0.501
O10 0.805 0.395 0.999
O11 0.869 0.713 0.114
O12 0.889 0.712 0.619
O13 0.903 0.713 0.364
O14 0.920 0.714 0.867
O15 0.982 0.031 0.250
O16 0.989 0.030 0.747
# - E above lowest polymorph (eV/atom) = 0.009
# - formation energy from the elements (eV/atom) = -2.34
# - crystal system = triclinic

No. 3
# PBE with a Hubbard U CoBC8O5F10, optimized geometry
data_CoBC8O5F10
_chemical_formula_sum 'Co4 B4 C32 O20 F40'
_space_group_name_H-M_alt 'P 1 21/c 1'
_space_group_IT_number 14
_cell_length_a 8.226
_cell_length_b 14.329
_cell_length_c 13.082
_cell_angle_alpha 90.00
_cell_angle_beta 98.99
_cell_angle_gamma 90.00
loop_
_space_group_symop_operation_xyz
'x,y,z'
'-x,-y,-z'
'-x,y+1/2,-z+1/2'
'x,-y+1/2,z+1/2'
loop_
_atom_site_label
_atom_site_fract_x
_atom_site_fract_y
_atom_site_fract_z
Co1 0.224 0.102 0.239
B1 0.222 0.742 0.499
C1 0.022 0.051 0.241
C2 0.168 0.718 0.612
C3 0.198 0.088 0.101
C4 0.231 0.229 0.224
C5 0.231 0.644 0.984
C6 0.253 0.112 0.378
C7 0.402 0.693 0.492
C8 0.407 0.030 0.250
O1 0.104 0.518 0.258
O2 0.183 0.078 0.013
O3 0.234 0.192 0.712
O4 0.269 0.117 0.466
O5 0.478 0.016 0.745
F1 0.004 0.739 0.615
F2 0.094 0.598 0.007
F3 0.101 0.704 0.420
F4 0.180 0.624 0.637
F5 0.242 0.618 0.884
F6 0.255 0.736 0.195
F7 0.364 0.602 0.045
F8 0.390 0.598 0.478
F9 0.476 0.725 0.411
F10 0.481 0.206 0.921
# - formation energy from the elements (eV/atom) = -1.47
# - crystal system = monoclinic

No. 4
# PBE with a Hubbard U Sr2MnWO6, optimized geometry
data_Sr2MnWO6
_chemical_formula_sum 'Sr4 Mn2 W2 O12'
_space_group_name_H-M_alt 'P 1 21/c 1'
_space_group_IT_number 14
_cell_length_a 5.747
_cell_length_b 5.790
_cell_length_c 9.950
_cell_angle_alpha 90.00
_cell_angle_beta 125.20
_cell_angle_gamma 90.00
loop_
_space_group_symop_operation_xyz
'x,y,z'
'-x,-y,-z'
'-x,y+1/2,-z+1/2'
'x,-y+1/2,z+1/2'
loop_
_atom_site_label
_atom_site_fract_x
_atom_site_fract_y
_atom_site_fract_z
Sr1 0.245 0.032 0.251
Mn1 0.500 0.000 0.000
W1 0.000 0.000 0.500
O1 0.161 0.230 0.962
O2 0.235 0.702 0.966
O3 0.304 0.017 0.736
# - formation energy from the elements (eV/atom) = -2.77
# - crystal system = monoclinic

Number 1: V 333.0 Å³ per cell. Number 2: V 379.2 Å³ per cell. Number 3: V 1523.1 Å³ per cell. Number 4: V 270.5 Å³ per cell.